VASP calculation (PBE) on a relaxed structure of Ca3HfSi2O9.

Calculated values
Symmetry ... P2_1/c
Formation enthalpy at 0 K ... -3.58 eV per atom
E_tot ... -475.7 eV per cell

Cell and atoms, written as extended XYZ:
```
60
Lattice="7.423 0.000 0.000 0.000 10.259 0.000 -0.244 0.000 10.507" Properties=species:S:1:pos:R:3 pbc="T T T"
Ca 0.861 1.757 0.916
Ca 0.739 3.373 6.170
Ca 2.607 0.799 4.081
Ca 2.485 4.331 9.335
Ca 2.665 7.143 4.218
Ca 2.543 8.247 9.472
Ca 4.636 2.013 1.036
Ca 4.514 3.117 6.289
Ca 4.694 5.929 1.172
Ca 4.572 9.460 6.426
Ca 6.441 6.887 4.337
Ca 6.319 8.503 9.591
Hf 0.874 5.753 1.217
Hf 0.753 9.636 6.471
Hf 6.427 0.624 4.036
Hf 6.305 4.506 9.290
Si 1.076 6.404 7.164
Si 1.198 8.986 1.910
Si 2.783 1.406 8.491
Si 2.905 3.723 3.237
Si 4.275 6.536 7.270
Si 4.397 8.853 2.017
Si 5.982 1.274 8.597
Si 6.104 3.856 3.343
O 0.559 0.023 2.671
O 0.437 5.106 7.925
O 0.561 1.139 5.366
O 0.683 3.990 0.113
O 0.729 7.524 2.500
O 0.607 7.865 7.754
O 0.934 6.304 5.560
O 1.056 9.085 0.306
O 2.060 0.032 7.996
O 2.182 5.098 2.742
O 2.513 6.238 0.177
O 2.391 9.151 5.431
O 2.596 2.381 2.355
O 2.474 2.749 7.608
O 2.584 1.734 10.066
O 2.706 3.396 4.812
O 2.669 6.220 7.645
O 2.791 9.169 2.391
O 4.388 1.091 8.116
O 4.510 4.039 2.862
O 4.474 6.864 5.695
O 4.596 8.525 0.441
O 4.705 7.510 2.899
O 4.583 7.879 8.153
O 4.789 1.108 5.076
O 4.667 4.022 10.330
O 4.997 5.161 7.765
O 5.119 10.228 2.511
O 6.123 1.175 10.201
O 6.245 3.955 4.948
O 6.572 2.394 2.753
O 6.450 2.735 8.007
O 6.497 6.269 10.394
O 6.619 9.120 5.141
O 6.742 5.153 2.583
O 6.620 10.236 7.836
```